Compound: NaHoSe2
Source: the Materials Project
Functional: PBE
Structure: relaxed

Output
formation energy = -44.62 kcal/mol of atoms
total energy = -4.92 eV/atom

Cell: 7.379 7.379 7.379 Å, 32.50 32.50 32.50°
Fractional positions:
Na 0.000 0.000 0.000
Ho 0.500 0.500 0.500
Se 0.243 0.243 0.243
Se 0.757 0.757 0.757